No. 1
VASP calculation (meta-GGA r2SCAN) on TlAgO2 after structural relaxation.

a = 3.428 Å, b = 3.428 Å, c = 12.810 Å
α = 90.00°, β = 90.00°, γ = 120.00°
Element x y z (fractional)
Tl 0.000 0.000 0.500
Tl 0.000 0.000 0.000
O 0.667 0.333 0.588
O 0.333 0.667 0.412
O 0.667 0.333 0.912
O 0.333 0.667 0.088
Ag 0.333 0.667 0.250
Ag 0.667 0.333 0.750

---

No. 2
VASP calculation (meta-GGA r2SCAN) on VAgO3 after structural relaxation.

a = 7.306 Å, b = 7.306 Å, c = 5.803 Å
α = 74.51°, β = 74.51°, γ = 85.39°
Element x y z (fractional)
O 0.269 0.430 0.653
O 0.731 0.570 0.347
O 0.837 0.905 0.980
O 0.430 0.269 0.153
O 0.631 0.112 0.640
O 0.369 0.888 0.360
O 0.095 0.163 0.520
O 0.163 0.095 0.020
O 0.112 0.631 0.140
O 0.905 0.837 0.480
O 0.570 0.731 0.847
O 0.888 0.369 0.860
V 0.902 0.734 0.234
V 0.266 0.098 0.266
V 0.734 0.902 0.734
V 0.098 0.266 0.766
Ag 0.585 0.415 0.750
Ag 0.737 0.263 0.250
Ag 0.263 0.737 0.750
Ag 0.415 0.585 0.250

---

No. 3
VASP calculation (meta-GGA r2SCAN) on VAgO3 after structural relaxation.

a = 7.220 Å, b = 7.220 Å, c = 5.472 Å
α = 81.05°, β = 81.05°, γ = 86.50°
Element x y z (fractional)
V 0.279 0.109 0.717
V 0.891 0.721 0.783
V 0.109 0.279 0.217
V 0.721 0.891 0.283
O 0.266 0.448 0.157
O 0.358 0.902 0.850
O 0.195 0.088 0.429
O 0.912 0.805 0.071
O 0.098 0.642 0.650
O 0.642 0.098 0.150
O 0.902 0.358 0.350
O 0.088 0.195 0.929
O 0.734 0.552 0.843
O 0.448 0.266 0.657
O 0.552 0.734 0.343
O 0.805 0.912 0.571
Ag 0.768 0.232 0.750
Ag 0.232 0.768 0.250
Ag 0.412 0.588 0.750
Ag 0.588 0.412 0.250

---

No. 4
VASP calculation (meta-GGA r2SCAN) on VAgO3 after structural relaxation.

a = 9.170 Å, b = 9.170 Å, c = 8.008 Å
α = 75.76°, β = 75.76°, γ = 22.45°
Element x y z (fractional)
O 0.592 0.592 0.400
O 0.191 0.191 0.497
O 0.967 0.967 0.239
O 0.351 0.351 0.287
O 0.260 0.260 0.759
O 0.652 0.652 0.706
O 0.881 0.881 0.012
O 0.409 0.409 0.599
O 0.812 0.812 0.494
O 0.741 0.741 0.233
O 0.037 0.037 0.760
O 0.122 0.122 0.986
V 0.680 0.680 0.434
V 0.321 0.321 0.563
V 0.873 0.873 0.227
V 0.131 0.131 0.770
Ag 0.253 0.253 0.041
Ag 0.000 0.000 0.502
Ag 0.453 0.453 0.865
Ag 0.550 0.550 0.131

---

No. 5
VASP calculation (meta-GGA r2SCAN) on AgP15 after structural relaxation.

a = 7.141 Å, b = 9.078 Å, c = 11.472 Å
α = 100.33°, β = 97.66°, γ = 107.35°
Element x y z (fractional)
P 0.015 0.814 0.894
P 0.049 0.438 0.190
P 0.549 0.456 0.226
P 0.542 0.837 0.351
P 0.098 0.220 0.790
P 0.700 0.080 0.157
P 0.263 0.314 0.658
P 0.685 0.490 0.893
P 0.041 0.003 0.346
P 0.211 0.120 0.224
P 0.233 0.920 0.647
P 0.959 0.997 0.654
P 0.458 0.163 0.649
P 0.902 0.780 0.210
P 0.315 0.510 0.107
P 0.854 0.548 0.621
P 0.665 0.833 0.080
P 0.395 0.768 0.157
P 0.767 0.080 0.353
P 0.451 0.544 0.774
P 0.737 0.686 0.342
P 0.985 0.186 0.106
P 0.335 0.167 0.920
P 0.621 0.653 0.646
P 0.951 0.562 0.810
P 0.146 0.452 0.379
P 0.379 0.347 0.354
P 0.605 0.232 0.843
P 0.789 0.880 0.776
P 0.300 0.920 0.843
Ag 0.658 0.276 0.494
Ag 0.342 0.724 0.506

---

No. 6
VASP calculation (meta-GGA r2SCAN) on AgPS3 after structural relaxation.

a = 6.780 Å, b = 6.780 Å, c = 6.619 Å
α = 96.23°, β = 115.89°, γ = 117.89°
Element x y z (fractional)
S 0.337 0.300 0.637
S 0.123 0.823 0.946
S 0.778 0.278 0.500
S 0.663 0.700 0.363
S 0.222 0.722 0.500
S 0.877 0.177 0.054
P 0.936 0.652 0.589
P 0.064 0.348 0.411
Ag 0.728 0.728 0.000
Ag 0.272 0.272 0.000

---

No. 7
VASP calculation (meta-GGA r2SCAN) on Ag7PSe6 after structural relaxation.

a = 10.830 Å, b = 10.830 Å, c = 10.830 Å
α = 90.00°, β = 90.00°, γ = 90.00°
Element x y z (fractional)
Se 0.120 0.859 0.131
Se 0.710 0.290 0.790
Se 0.978 0.022 0.522
Se 0.522 0.978 0.022
Se 0.620 0.641 0.869
Se 0.634 0.134 0.366
Se 0.641 0.869 0.620
Se 0.290 0.790 0.710
Se 0.141 0.631 0.380
Se 0.369 0.880 0.359
Se 0.859 0.131 0.120
Se 0.869 0.620 0.641
Se 0.866 0.866 0.866
Se 0.631 0.380 0.141
Se 0.380 0.141 0.631
Se 0.134 0.366 0.634
Se 0.022 0.522 0.978
Se 0.880 0.359 0.369
Se 0.790 0.710 0.290
Se 0.131 0.120 0.859
Se 0.366 0.634 0.134
Se 0.478 0.478 0.478
Se 0.359 0.369 0.880
Se 0.210 0.210 0.210
Ag 0.983 0.780 0.490
Ag 0.517 0.220 0.990
Ag 0.343 0.343 0.343
Ag 0.429 0.108 0.227
Ag 0.483 0.720 0.510
Ag 0.773 0.929 0.392
Ag 0.720 0.510 0.483
Ag 0.929 0.392 0.773
Ag 0.108 0.227 0.429
Ag 0.843 0.157 0.657
Ag 0.608 0.273 0.571
Ag 0.990 0.517 0.220
Ag 0.490 0.983 0.780
Ag 0.071 0.892 0.727
Ag 0.220 0.990 0.517
Ag 0.157 0.657 0.843
Ag 0.571 0.608 0.273
Ag 0.017 0.280 0.010
Ag 0.280 0.010 0.017
Ag 0.892 0.727 0.071
Ag 0.727 0.071 0.892
Ag 0.510 0.483 0.720
Ag 0.227 0.429 0.108
Ag 0.780 0.490 0.983
Ag 0.392 0.773 0.929
Ag 0.657 0.843 0.157
Ag 0.010 0.017 0.280
Ag 0.273 0.571 0.608
P 0.746 0.746 0.746
P 0.246 0.754 0.254
P 0.754 0.254 0.246
P 0.254 0.246 0.754

---

No. 8
VASP calculation (meta-GGA r2SCAN) on TlAgPSe3 after structural relaxation.

a = 12.707 Å, b = 9.738 Å, c = 10.369 Å
α = 83.18°, β = 90.00°, γ = 90.00°
Element x y z (fractional)
Se 0.874 0.276 0.070
Se 0.126 0.724 0.930
Se 0.626 0.776 0.070
Se 0.314 0.896 0.101
Se 0.088 0.944 0.272
Se 0.690 0.455 0.379
Se 0.001 0.288 0.453
Se 0.810 0.955 0.379
Se 0.572 0.090 0.226
Se 0.072 0.410 0.774
Se 0.412 0.444 0.272
Se 0.374 0.224 0.930
Se 0.501 0.212 0.547
Se 0.310 0.545 0.621
Se 0.814 0.604 0.899
Se 0.428 0.910 0.774
Se 0.190 0.045 0.621
Se 0.186 0.396 0.101
Se 0.928 0.590 0.226
Se 0.499 0.788 0.453
Se 0.588 0.556 0.728
Se 0.999 0.712 0.547
Se 0.686 0.104 0.899
Se 0.912 0.056 0.728
Ag 0.317 0.266 0.672
Ag 0.817 0.234 0.328
Ag 0.053 0.209 0.211
Ag 0.683 0.734 0.328
Ag 0.947 0.791 0.789
Ag 0.553 0.291 0.789
Ag 0.447 0.709 0.211
Ag 0.183 0.766 0.672
Tl 0.117 0.118 0.920
Tl 0.674 0.890 0.678
Tl 0.826 0.390 0.678
Tl 0.174 0.610 0.322
Tl 0.326 0.110 0.322
Tl 0.883 0.882 0.080
Tl 0.617 0.382 0.080
Tl 0.383 0.618 0.920
P 0.523 0.415 0.436
P 0.023 0.085 0.564
P 0.081 0.504 0.954
P 0.581 0.996 0.046
P 0.419 0.004 0.954
P 0.477 0.585 0.564
P 0.919 0.496 0.046
P 0.977 0.915 0.436

---

Number 1: total DFT energy (no corrections) -88.75 eV/f.u., M_tot 0.000 μB per formula unit, formation enthalpy at 0 K -2.3 eV per formula unit. Number 2: total DFT energy (no corrections) -62.46 eV/f.u., M_tot 0.000 μB per formula unit, formation enthalpy at 0 K -9.1 eV per formula unit. Number 3: total DFT energy (no corrections) -62.44 eV/f.u., M_tot 0.000 μB per formula unit, formation enthalpy at 0 K -9.1 eV per formula unit. Number 4: total DFT energy (no corrections) -62.52 eV/f.u., M_tot 0.000 μB per formula unit, formation enthalpy at 0 K -9.2 eV per formula unit. Number 5: total DFT energy (no corrections) -156.34 eV/f.u., M_tot 0.000 μB per formula unit, formation enthalpy at 0 K 0.0 eV per formula unit. Number 6: total DFT energy (no corrections) -55.62 eV/f.u., M_tot 0.000 μB per formula unit, formation enthalpy at 0 K -1.2 eV per formula unit. Number 7: total DFT energy (no corrections) -246.68 eV/f.u., M_tot 0.000 μB per formula unit, formation enthalpy at 0 K -2.3 eV per formula unit. Number 8: total DFT energy (no corrections) -128.28 eV/f.u., M_tot 0.000 μB per formula unit, formation enthalpy at 0 K -1.8 eV per formula unit.